No. 1
# ZnS, relaxed, DFT PBE
# ρ = 3.43 g/cm3
# Energy of formation = -0.5890 eV/atom
# E (MP2020) = -3.29 eV per atom
# Calculated total energy = -0.2231 Ry/atom
data_ZnS
_symmetry_space_group_name_H-M 'P 1'
_symmetry_Int_Tables_number 1
_cell_length_a 12.573
_cell_length_b 13.391
_cell_length_c 14.112
_cell_angle_alpha 96.20
_cell_angle_beta 90.23
_cell_angle_gamma 91.52
loop_
_symmetry_equiv_pos_as_xyz
'x,y,z'
loop_
_atom_site_label
_atom_site_type_symbol
_atom_site_fract_x
_atom_site_fract_y
_atom_site_fract_z
Zn1 Zn 0.000 0.000 0.000
Zn2 Zn 0.005 0.884 0.854
Zn3 Zn 0.008 0.474 0.216
Zn4 Zn 0.008 0.917 0.380
Zn5 Zn 0.023 0.694 0.552
Zn6 Zn 0.085 0.118 0.293
Zn7 Zn 0.109 0.628 0.308
Zn8 Zn 0.127 0.539 0.975
Zn9 Zn 0.180 0.904 0.939
Zn10 Zn 0.182 0.051 0.605
Zn11 Zn 0.183 0.564 0.149
Zn12 Zn 0.186 0.273 0.694
Zn13 Zn 0.199 0.324 0.195
Zn14 Zn 0.268 0.677 0.033
Zn15 Zn 0.278 0.853 0.674
Zn16 Zn 0.343 0.949 0.408
Zn17 Zn 0.350 0.127 0.108
Zn18 Zn 0.406 0.838 0.926
Zn19 Zn 0.411 0.486 0.315
Zn20 Zn 0.430 0.479 0.859
Zn21 Zn 0.456 0.727 0.505
Zn22 Zn 0.465 0.367 0.078
Zn23 Zn 0.467 0.180 0.806
Zn24 Zn 0.475 0.761 0.299
Zn25 Zn 0.478 0.415 0.554
Zn26 Zn 0.481 0.247 0.338
Zn27 Zn 0.505 0.170 0.618
Zn28 Zn 0.584 0.715 0.033
Zn29 Zn 0.620 0.608 0.693
Zn30 Zn 0.629 0.100 0.731
Zn31 Zn 0.651 0.038 0.980
Zn32 Zn 0.664 0.146 0.145
Zn33 Zn 0.675 0.246 0.982
Zn34 Zn 0.704 0.850 0.812
Zn35 Zn 0.709 0.081 0.399
Zn36 Zn 0.736 0.391 0.289
Zn37 Zn 0.743 0.441 0.015
Zn38 Zn 0.770 0.921 0.169
Zn39 Zn 0.809 0.305 0.617
Zn40 Zn 0.816 0.988 0.626
Zn41 Zn 0.821 0.676 0.362
Zn42 Zn 0.840 0.564 0.926
Zn43 Zn 0.870 0.676 0.652
Zn44 Zn 0.884 0.280 0.041
Zn45 Zn 0.900 0.361 0.876
Zn46 Zn 0.907 0.115 0.830
Zn47 Zn 0.934 0.221 0.311
Zn48 Zn 0.983 0.441 0.522
Zn49 Zn 0.997 0.480 0.775
Zn50 Zn 0.999 0.131 0.514
S1 S 0.001 0.743 0.397
S2 S 0.006 0.167 0.963
S3 S 0.008 0.625 0.886
S4 S 0.051 0.153 0.676
S5 S 0.054 0.400 0.068
S6 S 0.081 0.366 0.325
S7 S 0.105 0.880 0.610
S8 S 0.117 0.491 0.432
S9 S 0.150 0.031 0.431
S10 S 0.178 0.443 0.730
S11 S 0.242 0.168 0.231
S12 S 0.243 0.433 0.868
S13 S 0.269 0.799 0.815
S14 S 0.285 0.849 0.056
S15 S 0.292 0.084 0.957
S16 S 0.323 0.444 0.165
S17 S 0.325 0.164 0.677
S18 S 0.368 0.649 0.373
S19 S 0.379 0.370 0.423
S20 S 0.388 0.880 0.555
S21 S 0.391 0.893 0.260
S22 S 0.434 0.113 0.435
S23 S 0.439 0.044 0.894
S24 S 0.441 0.632 0.960
S25 S 0.476 0.505 0.700
S26 S 0.498 0.227 0.167
S27 S 0.511 0.329 0.915
S28 S 0.565 0.046 0.497
S29 S 0.590 0.862 0.949
S30 S 0.592 0.490 0.267
S31 S 0.595 0.497 0.119
S32 S 0.613 0.639 0.532
S33 S 0.631 0.311 0.546
S34 S 0.650 0.022 0.247
S35 S 0.657 0.931 0.681
S36 S 0.664 0.267 0.401
S37 S 0.670 0.752 0.287
S38 S 0.720 0.751 0.144
S39 S 0.755 0.681 0.784
S40 S 0.756 0.722 0.518
S41 S 0.798 0.176 0.718
S42 S 0.810 0.258 0.194
S43 S 0.829 0.969 0.893
S44 S 0.850 0.526 0.273
S45 S 0.861 0.009 0.469
S46 S 0.874 0.475 0.649
S47 S 0.917 0.277 0.480
S48 S 0.939 0.989 0.152
S49 S 0.968 0.894 0.695
S50 S 0.985 0.863 0.220

=====

No. 2
# ZnS, relaxed, DFT PBE
# ρ = 3.99 g/cm3
# Energy of formation = -1.0513 eV/atom
# E (MP2020) = -3.75 eV per atom
# Calculated total energy = -0.2571 Ry/atom
data_ZnS
_symmetry_space_group_name_H-M 'R 3 m'
_symmetry_Int_Tables_number 160
_symmetry_space_group_name_Hall 'R 3 -2"'
_cell_length_a 3.8583
_cell_length_b 3.8583
_cell_length_c 113.3181
_cell_angle_alpha 90.00
_cell_angle_beta 90.00
_cell_angle_gamma 120.00
loop_
_atom_site_label
_atom_site_type_symbol
_atom_site_fract_x
_atom_site_fract_y
_atom_site_fract_z
Zn1 Zn 0.0000 0.0000 0.0000
Zn2 Zn 0.0000 0.0000 0.0556
Zn3 Zn 0.0000 0.0000 0.1111
Zn4 Zn 0.0000 0.0000 0.1667
Zn5 Zn 0.0000 0.0000 0.2500
Zn6 Zn 0.0000 0.0000 0.3056
Zn7 Zn 0.0000 0.0000 0.4167
Zn8 Zn 0.0000 0.0000 0.5278
Zn9 Zn 0.0000 0.0000 0.6111
Zn10 Zn 0.0000 0.0000 0.6945
Zn11 Zn 0.0000 0.0000 0.8056
Zn12 Zn 0.0000 0.0000 0.8889
S1 S 0.0000 0.0000 0.0348
S2 S 0.0000 0.0000 0.0903
S3 S 0.0000 0.0000 0.1459
S4 S 0.0000 0.0000 0.2292
S5 S 0.0000 0.0000 0.2848
S6 S 0.0000 0.0000 0.3958
S7 S 0.0000 0.0000 0.5070
S8 S 0.0000 0.0000 0.5903
S9 S 0.0000 0.0000 0.6736
S10 S 0.0000 0.0000 0.7847
S11 S 0.0000 0.0000 0.8681
S12 S 0.0000 0.0000 0.9792

=====

No. 3
# ZnS, relaxed, DFT PBE
# ρ = 3.43 g/cm3
# Energy of formation = -0.6201 eV/atom
# E (MP2020) = -3.32 eV per atom
# Calculated total energy = -0.2254 Ry/atom
data_ZnS
_symmetry_space_group_name_H-M 'P 1'
_symmetry_Int_Tables_number 1
_cell_length_a 12.726
_cell_length_b 13.525
_cell_length_c 13.755
_cell_angle_alpha 86.98
_cell_angle_beta 86.31
_cell_angle_gamma 88.47
loop_
_symmetry_equiv_pos_as_xyz
'x,y,z'
loop_
_atom_site_label
_atom_site_type_symbol
_atom_site_fract_x
_atom_site_fract_y
_atom_site_fract_z
Zn1 Zn 0.000 0.000 0.000
Zn2 Zn 0.003 0.884 0.730
Zn3 Zn 0.036 0.338 0.861
Zn4 Zn 0.036 0.395 0.633
Zn5 Zn 0.128 0.287 0.209
Zn6 Zn 0.148 0.786 0.889
Zn7 Zn 0.156 0.186 0.359
Zn8 Zn 0.161 0.432 0.438
Zn9 Zn 0.165 0.753 0.389
Zn10 Zn 0.189 0.938 0.552
Zn11 Zn 0.269 0.391 0.001
Zn12 Zn 0.275 0.610 0.572
Zn13 Zn 0.276 0.510 0.245
Zn14 Zn 0.316 0.784 0.169
Zn15 Zn 0.317 0.602 0.807
Zn16 Zn 0.344 0.415 0.588
Zn17 Zn 0.400 0.122 0.532
Zn18 Zn 0.408 0.227 0.777
Zn19 Zn 0.416 0.033 0.326
Zn20 Zn 0.445 0.774 0.946
Zn21 Zn 0.487 0.731 0.664
Zn22 Zn 0.507 0.762 0.376
Zn23 Zn 0.511 0.972 0.129
Zn24 Zn 0.564 0.351 0.925
Zn25 Zn 0.568 0.459 0.068
Zn26 Zn 0.615 0.924 0.484
Zn27 Zn 0.616 0.934 0.815
Zn28 Zn 0.617 0.542 0.218
Zn29 Zn 0.620 0.312 0.630
Zn30 Zn 0.624 0.155 0.278
Zn31 Zn 0.644 0.287 0.085
Zn32 Zn 0.717 0.820 0.048
Zn33 Zn 0.718 0.152 0.836
Zn34 Zn 0.735 0.564 0.069
Zn35 Zn 0.765 0.431 0.466
Zn36 Zn 0.770 0.675 0.567
Zn37 Zn 0.783 0.722 0.314
Zn38 Zn 0.821 0.409 0.286
Zn39 Zn 0.837 0.040 0.115
Zn40 Zn 0.852 0.222 0.314
Zn41 Zn 0.856 0.306 0.691
Zn42 Zn 0.867 0.487 0.631
Zn43 Zn 0.889 0.678 0.829
Zn44 Zn 0.895 0.558 0.377
Zn45 Zn 0.902 0.164 0.967
Zn46 Zn 0.932 0.874 0.477
Zn47 Zn 0.977 0.674 0.079
Zn48 Zn 0.982 0.688 0.262
Zn49 Zn 0.985 0.844 0.159
Zn50 Zn 0.993 0.319 0.360
S1 S 0.007 0.969 0.582
S2 S 0.027 0.847 0.334
S3 S 0.037 0.248 0.070
S4 S 0.047 0.718 0.760
S5 S 0.059 0.474 0.305
S6 S 0.080 0.945 0.861
S7 S 0.084 0.288 0.504
S8 S 0.120 0.961 0.119
S9 S 0.153 0.652 0.008
S10 S 0.159 0.263 0.959
S11 S 0.188 0.465 0.672
S12 S 0.193 0.534 0.916
S13 S 0.204 0.764 0.542
S14 S 0.210 0.670 0.253
S15 S 0.251 0.892 0.051
S16 S 0.263 0.063 0.423
S17 S 0.274 0.061 0.646
S18 S 0.287 0.362 0.166
S19 S 0.322 0.500 0.434
S20 S 0.326 0.065 0.787
S21 S 0.344 0.772 0.820
S22 S 0.399 0.357 0.873
S23 S 0.413 0.548 0.106
S24 S 0.420 0.571 0.668
S25 S 0.436 0.873 0.263
S26 S 0.445 0.274 0.610
S27 S 0.469 0.693 0.094
S28 S 0.470 0.830 0.525
S29 S 0.483 0.126 0.184
S30 S 0.493 0.062 0.769
S31 S 0.551 0.078 0.436
S32 S 0.568 0.896 0.990
S33 S 0.611 0.762 0.779
S34 S 0.621 0.634 0.349
S35 S 0.652 0.339 0.244
S36 S 0.676 0.314 0.789
S37 S 0.690 0.518 0.597
S38 S 0.718 0.152 0.013
S39 S 0.762 0.013 0.765
S40 S 0.762 0.821 0.462
S41 S 0.768 0.748 0.721
S42 S 0.770 0.269 0.541
S43 S 0.789 0.080 0.277
S44 S 0.790 0.866 0.183
S45 S 0.820 0.694 0.986
S46 S 0.840 0.428 0.002
S47 S 0.900 0.484 0.133
S48 S 0.933 0.482 0.886
S49 S 0.943 0.612 0.528
S50 S 0.953 0.207 0.803

=====

No. 4
# ZnS, relaxed, DFT PBE
# ρ = 3.36 g/cm3
# Energy of formation = -0.6443 eV/atom
# E (MP2020) = -3.34 eV per atom
# Calculated total energy = -0.2272 Ry/atom
data_ZnS
_symmetry_space_group_name_H-M 'P 1'
_symmetry_Int_Tables_number 1
_cell_length_a 13.050
_cell_length_b 13.491
_cell_length_c 13.775
_cell_angle_alpha 88.98
_cell_angle_beta 89.66
_cell_angle_gamma 83.13
loop_
_symmetry_equiv_pos_as_xyz
'x,y,z'
loop_
_atom_site_label
_atom_site_type_symbol
_atom_site_fract_x
_atom_site_fract_y
_atom_site_fract_z
Zn1 Zn 0.000 0.000 0.000
Zn2 Zn 0.001 0.029 0.729
Zn3 Zn 0.003 0.820 0.191
Zn4 Zn 0.013 0.393 0.139
Zn5 Zn 0.031 0.609 0.729
Zn6 Zn 0.051 0.277 0.817
Zn7 Zn 0.066 0.394 0.540
Zn8 Zn 0.070 0.686 0.541
Zn9 Zn 0.123 0.906 0.607
Zn10 Zn 0.134 0.331 0.982
Zn11 Zn 0.173 0.269 0.383
Zn12 Zn 0.194 0.934 0.769
Zn13 Zn 0.201 0.822 0.045
Zn14 Zn 0.223 0.124 0.589
Zn15 Zn 0.254 0.559 0.062
Zn16 Zn 0.263 0.556 0.470
Zn17 Zn 0.264 0.111 0.894
Zn18 Zn 0.298 0.687 0.806
Zn19 Zn 0.335 0.311 0.191
Zn20 Zn 0.342 0.414 0.840
Zn21 Zn 0.347 0.398 0.551
Zn22 Zn 0.360 0.050 0.035
Zn23 Zn 0.382 0.763 0.570
Zn24 Zn 0.390 0.636 0.210
Zn25 Zn 0.435 0.479 0.404
Zn26 Zn 0.464 0.839 0.880
Zn27 Zn 0.483 0.177 0.925
Zn28 Zn 0.485 0.027 0.699
Zn29 Zn 0.495 0.039 0.524
Zn30 Zn 0.509 0.294 0.795
Zn31 Zn 0.518 0.070 0.195
Zn32 Zn 0.519 0.572 0.652
Zn33 Zn 0.528 0.591 0.975
Zn34 Zn 0.562 0.800 0.135
Zn35 Zn 0.577 0.480 0.180
Zn36 Zn 0.630 0.219 0.382
Zn37 Zn 0.667 0.357 0.569
Zn38 Zn 0.671 0.617 0.471
Zn39 Zn 0.689 0.172 0.997
Zn40 Zn 0.697 0.946 0.347
Zn41 Zn 0.707 0.030 0.889
Zn42 Zn 0.718 0.095 0.610
Zn43 Zn 0.764 0.414 0.063
Zn44 Zn 0.790 0.516 0.283
Zn45 Zn 0.808 0.228 0.779
Zn46 Zn 0.852 0.757 0.258
Zn47 Zn 0.862 0.483 0.693
Zn48 Zn 0.938 0.602 0.966
Zn49 Zn 0.947 0.204 0.491
Zn50 Zn 0.975 0.249 0.993
S1 S 0.007 0.329 0.397
S2 S 0.014 0.220 0.157
S3 S 0.043 0.729 0.977
S4 S 0.052 0.083 0.574
S5 S 0.067 0.096 0.875
S6 S 0.100 0.943 0.127
S7 S 0.171 0.691 0.412
S8 S 0.189 0.414 0.112
S9 S 0.191 0.637 0.691
S10 S 0.218 0.298 0.574
S11 S 0.225 0.300 0.844
S12 S 0.231 0.693 0.158
S13 S 0.264 0.878 0.490
S14 S 0.282 0.837 0.895
S15 S 0.304 0.060 0.731
S16 S 0.316 0.021 0.471
S17 S 0.320 0.215 0.322
S18 S 0.353 0.557 0.925
S19 S 0.411 0.459 0.240
S20 S 0.430 0.436 0.697
S21 S 0.434 0.939 0.151
S22 S 0.446 0.203 0.091
S23 S 0.453 0.727 0.721
S24 S 0.491 0.630 0.484
S25 S 0.527 0.339 0.471
S26 S 0.536 0.991 0.856
S27 S 0.554 0.654 0.230
S28 S 0.561 0.071 0.367
S29 S 0.580 0.741 0.972
S30 S 0.594 0.437 0.015
S31 S 0.650 0.249 0.701
S32 S 0.673 0.159 0.169
S33 S 0.698 0.516 0.615
S34 S 0.709 0.862 0.209
S35 S 0.727 0.381 0.237
S36 S 0.770 0.215 0.491
S37 S 0.780 0.959 0.496
S38 S 0.809 0.282 0.946
S39 S 0.815 0.637 0.380
S40 S 0.818 0.075 0.198
S41 S 0.818 0.824 0.564
S42 S 0.822 0.051 0.748
S43 S 0.854 0.924 0.974
S44 S 0.884 0.600 0.812
S45 S 0.888 0.521 0.103
S46 S 0.911 0.162 0.263
S47 S 0.932 0.314 0.699
S48 S 0.966 0.837 0.887
S49 S 0.968 0.814 0.623
S50 S 0.980 0.543 0.575

=====

No. 5
# ZnS, relaxed, DFT PBE
# ρ = 3.34 g/cm3
# Energy of formation = -0.6030 eV/atom
# E (MP2020) = -3.30 eV per atom
# Calculated total energy = -0.2241 Ry/atom
data_ZnS
_symmetry_space_group_name_H-M 'P 1'
_symmetry_Int_Tables_number 1
_cell_length_a 12.759
_cell_length_b 13.451
_cell_length_c 14.128
_cell_angle_alpha 88.04
_cell_angle_beta 87.67
_cell_angle_gamma 87.93
loop_
_symmetry_equiv_pos_as_xyz
'x,y,z'
loop_
_atom_site_label
_atom_site_type_symbol
_atom_site_fract_x
_atom_site_fract_y
_atom_site_fract_z
Zn1 Zn 0.000 0.000 0.000
Zn2 Zn 0.001 0.139 0.601
Zn3 Zn 0.023 0.713 0.116
Zn4 Zn 0.056 0.447 0.399
Zn5 Zn 0.072 0.321 0.072
Zn6 Zn 0.098 0.622 0.653
Zn7 Zn 0.116 0.892 0.544
Zn8 Zn 0.132 0.415 0.845
Zn9 Zn 0.156 0.871 0.754
Zn10 Zn 0.175 0.925 0.130
Zn11 Zn 0.189 0.648 0.913
Zn12 Zn 0.223 0.696 0.410
Zn13 Zn 0.249 0.359 0.558
Zn14 Zn 0.276 0.074 0.934
Zn15 Zn 0.300 0.481 0.063
Zn16 Zn 0.330 0.393 0.286
Zn17 Zn 0.338 0.146 0.737
Zn18 Zn 0.361 0.223 0.080
Zn19 Zn 0.372 0.706 0.307
Zn20 Zn 0.376 0.492 0.685
Zn21 Zn 0.384 0.004 0.507
Zn22 Zn 0.409 0.756 0.557
Zn23 Zn 0.429 0.165 0.467
Zn24 Zn 0.441 0.261 0.869
Zn25 Zn 0.473 0.941 0.776
Zn26 Zn 0.537 0.079 0.968
Zn27 Zn 0.557 0.154 0.234
Zn28 Zn 0.589 0.314 0.435
Zn29 Zn 0.602 0.900 0.479
Zn30 Zn 0.605 0.641 0.731
Zn31 Zn 0.611 0.640 0.470
Zn32 Zn 0.639 0.401 0.974
Zn33 Zn 0.647 0.351 0.652
Zn34 Zn 0.654 0.632 0.198
Zn35 Zn 0.706 0.125 0.128
Zn36 Zn 0.733 0.763 0.765
Zn37 Zn 0.775 0.851 0.075
Zn38 Zn 0.796 0.553 0.774
Zn39 Zn 0.804 0.014 0.861
Zn40 Zn 0.809 0.488 0.482
Zn41 Zn 0.818 0.587 0.947
Zn42 Zn 0.819 0.388 0.115
Zn43 Zn 0.829 0.785 0.348
Zn44 Zn 0.861 0.260 0.556
Zn45 Zn 0.884 0.931 0.614
Zn46 Zn 0.942 0.438 0.869
Zn47 Zn 0.955 0.228 0.983
Zn48 Zn 0.971 0.108 0.228
Zn49 Zn 0.974 0.664 0.533
Zn50 Zn 0.980 0.069 0.391
S1 S 0.002 0.747 0.276
S2 S 0.044 0.984 0.675
S3 S 0.060 0.633 0.367
S4 S 0.095 0.720 0.797
S5 S 0.106 0.073 0.104
S6 S 0.128 0.139 0.468
S7 S 0.202 0.466 0.680
S8 S 0.205 0.683 0.075
S9 S 0.209 0.002 0.446
S10 S 0.230 0.749 0.568
S11 S 0.232 0.446 0.418
S12 S 0.243 0.331 0.148
S13 S 0.261 0.236 0.867
S14 S 0.278 0.498 0.906
S15 S 0.286 0.980 0.795
S16 S 0.292 0.808 0.098
S17 S 0.377 0.251 0.607
S18 S 0.383 0.055 0.061
S19 S 0.427 0.495 0.171
S20 S 0.462 0.270 0.334
S21 S 0.469 0.642 0.178
S22 S 0.484 0.901 0.611
S23 S 0.492 0.604 0.613
S24 S 0.500 0.774 0.830
S25 S 0.508 0.390 0.760
S26 S 0.511 0.771 0.410
S27 S 0.525 0.103 0.803
S28 S 0.527 0.269 0.010
S29 S 0.565 0.742 0.959
S30 S 0.571 0.497 0.845
S31 S 0.637 0.475 0.413
S32 S 0.668 0.226 0.551
S33 S 0.684 0.477 0.269
S34 S 0.702 0.011 0.007
S35 S 0.703 0.522 0.067
S36 S 0.712 0.790 0.218
S37 S 0.729 0.754 0.943
S38 S 0.745 0.956 0.397
S39 S 0.754 0.929 0.733
S40 S 0.791 0.662 0.471
S41 S 0.796 0.438 0.649
S42 S 0.814 0.337 0.942
S43 S 0.825 0.049 0.488
S44 S 0.836 0.220 0.175
S45 S 0.910 0.364 0.414
S46 S 0.951 0.842 0.023
S47 S 0.954 0.098 0.877
S48 S 0.960 0.834 0.496
S49 S 0.977 0.464 0.149
S50 S 0.985 0.569 0.036